Record 1
## Dy3Ga (GGA-PBE)

Data for crystalline Dy3Ga at its relaxed geometry.

abc: 4.7207 4.7207 4.7207
angles: 90.00 90.00 90.00
Atoms (fractional coordinates):
Dy: 0.0000 0.0000 0.5000
Dy: 0.0000 0.5000 0.0000
Dy: 0.5000 0.0000 0.0000
Ga: 0.5000 0.5000 0.5000

Calculated values
E_tot, eV/atom: -4.453

***

Record 2
## SrAcHg2 (GGA-PBE)

Data for crystalline SrAcHg2 at its relaxed geometry.

abc: 5.7041 5.7041 5.7041
angles: 60.00 60.00 60.00
Atoms (fractional coordinates):
Sr: 0.0000 0.0000 0.0000
Ac: 0.5000 0.5000 0.5000
Hg: 0.2500 0.2500 0.2500
Hg: 0.7500 0.7500 0.7500

Calculated values
E_tot, eV/atom: -2.132

***

Record 3
## DyBr3O6 (GGA-PBE)

Data for crystalline DyBr3O6 at its relaxed geometry.

abc: 5.9490 6.2765 11.1869
angles: 90.00 108.28 90.00
Atoms (fractional coordinates):
Dy: 0.0000 0.1859 0.2500
Dy: 0.0000 0.8141 0.7500
Br: 0.1892 0.2891 0.9511
Br: 0.1892 0.7109 0.4511
Br: 0.5000 0.4184 0.7500
Br: 0.5000 0.5816 0.2500
Br: 0.8108 0.2891 0.5489
Br: 0.8108 0.7109 0.0489
O: 0.0580 0.2128 0.0625
O: 0.0580 0.7872 0.5625
O: 0.2408 0.0728 0.8618
O: 0.2408 0.9272 0.3618
O: 0.3159 0.4205 0.3068
O: 0.3159 0.5795 0.8068
O: 0.6841 0.4205 0.1932
O: 0.6841 0.5795 0.6932
O: 0.7592 0.0728 0.6382
O: 0.7592 0.9272 0.1382
O: 0.9420 0.2128 0.4375
O: 0.9420 0.7872 0.9375

Calculated values
E_tot, eV/atom: -4.560

***

Record 4
## LiAlPHO5 (GGA-PBE)

Data for crystalline LiAlPHO5 at its relaxed geometry.

abc: 5.0926 5.2617 7.1130
angles: 106.75 109.22 97.91
Atoms (fractional coordinates):
Li: 0.2500 0.1060 0.1868
Li: 0.7500 0.8940 0.8132
Al: 0.0000 0.5000 0.0000
Al: 0.0000 0.5000 0.5000
P: 0.3272 0.1431 0.7652
P: 0.6728 0.8569 0.2348
H: 0.3379 0.5708 0.3475
H: 0.6621 0.4292 0.6525
O: 0.1254 0.1764 0.8899
O: 0.1360 0.4577 0.2744
O: 0.2639 0.2925 0.6038
O: 0.3025 0.8343 0.6585
O: 0.3551 0.7402 0.0774
O: 0.6449 0.2598 0.9226
O: 0.6975 0.1657 0.3415
O: 0.7361 0.7075 0.3962
O: 0.8640 0.5423 0.7256
O: 0.8746 0.8236 0.1101

Calculated values
E_tot, eV/atom: -6.710

***

Record 5
## DyMgSe3 (GGA-PBE)

Data for crystalline DyMgSe3 at its relaxed geometry.

abc: 7.2888 7.2888 6.7402
angles: 106.79 106.79 110.85
Atoms (fractional coordinates):
Dy: 0.2203 0.2203 0.2337
Dy: 0.7797 0.7797 0.7663
Mg: 0.3331 0.6669 0.0000
Mg: 0.6669 0.3331 0.0000
Se: 0.1040 0.7954 0.1957
Se: 0.2046 0.8960 0.8043
Se: 0.4199 0.4199 0.7109
Se: 0.5801 0.5801 0.2891
Se: 0.7954 0.1040 0.1957
Se: 0.8960 0.2046 0.8043

Calculated values
E_tot, eV/atom: -4.488

***

Record 6
## Cs2MgO2 (GGA-PBE)

Data for crystalline Cs2MgO2 at its relaxed geometry.

abc: 10.0691 6.7840 16.7126
angles: 90.00 116.90 90.00
Atoms (fractional coordinates):
Cs: 0.0720 0.0704 0.1219
Cs: 0.0720 0.4296 0.6219
Cs: 0.1794 0.5859 0.2586
Cs: 0.1794 0.9141 0.7586
Cs: 0.3521 0.6648 0.5274
Cs: 0.3521 0.8352 0.0274
Cs: 0.4249 0.1341 0.6635
Cs: 0.4249 0.3659 0.1635
Cs: 0.5751 0.6341 0.8365
Cs: 0.5751 0.8659 0.3365
Cs: 0.6479 0.1648 0.9726
Cs: 0.6479 0.3352 0.4726
Cs: 0.8206 0.0859 0.2414
Cs: 0.8206 0.4141 0.7414
Cs: 0.9280 0.5704 0.3781
Cs: 0.9280 0.9296 0.8781
Mg: 0.0867 0.0504 0.4601
Mg: 0.0867 0.4496 0.9601
Mg: 0.2536 0.1288 0.3742
Mg: 0.2536 0.3712 0.8742
Mg: 0.7464 0.6288 0.1258
Mg: 0.7464 0.8712 0.6258
Mg: 0.9133 0.5504 0.0399
Mg: 0.9133 0.9496 0.5399
O: 0.1166 0.5881 0.8604
O: 0.1166 0.9119 0.3604
O: 0.1247 0.6189 0.0672
O: 0.1247 0.8811 0.5672
O: 0.2337 0.2329 0.9715
O: 0.2337 0.2671 0.4715
O: 0.3569 0.1905 0.3061
O: 0.3569 0.3095 0.8061
O: 0.6431 0.6905 0.1939
O: 0.6431 0.8095 0.6939
O: 0.7663 0.7329 0.5285
O: 0.7663 0.7671 0.0285
O: 0.8753 0.1189 0.4328
O: 0.8753 0.3811 0.9328
O: 0.8834 0.0881 0.6396
O: 0.8834 0.4119 0.1396

Calculated values
E_tot, eV/atom: -4.253

***

Record 7
## Na5P3H28O22 (GGA-PBE)

Data for crystalline Na5P3H28O22 at its relaxed geometry.

abc: 7.0777 12.1823 13.7880
angles: 79.25 78.09 75.73
Atoms (fractional coordinates):
Na: 0.0888 0.0241 0.2111
Na: 0.1361 0.3570 0.5045
Na: 0.1854 0.7091 0.3222
Na: 0.3086 0.2383 0.2154
Na: 0.3813 0.3989 0.9974
Na: 0.6187 0.6011 0.0026
Na: 0.6914 0.7617 0.7846
Na: 0.8146 0.2909 0.6778
Na: 0.8639 0.6430 0.4955
Na: 0.9112 0.9759 0.7889
P: 0.2621 0.2041 0.8743
P: 0.3051 0.3150 0.7253
P: 0.3700 0.4830 0.7404
P: 0.6300 0.5170 0.2596
P: 0.6949 0.6850 0.2747
P: 0.7379 0.7959 0.1257
H: 0.0042 0.1719 0.4606
H: 0.0067 0.7208 0.6830
H: 0.0120 0.4424 0.3186
H: 0.0327 0.6018 0.8840
H: 0.0558 0.8584 0.9770
H: 0.0618 0.3079 0.0408
H: 0.0885 0.8811 0.4331
H: 0.1150 0.8039 0.1328
H: 0.1746 0.6254 0.0831
H: 0.1756 0.7782 0.6789
H: 0.1774 0.9544 0.9153
H: 0.1843 0.0815 0.6279
H: 0.2415 0.4399 0.3026
H: 0.2472 0.0596 0.7381
H: 0.2517 0.5517 0.5426
H: 0.3056 0.0102 0.3704
H: 0.3066 0.7653 0.8822
H: 0.3199 0.5313 0.4266
H: 0.3218 0.5583 0.1563
H: 0.3366 0.8137 0.1295
H: 0.3545 0.6366 0.8587
H: 0.3692 0.8840 0.3400
H: 0.4006 0.1260 0.0527
H: 0.4295 0.9273 0.6549
H: 0.4316 0.6630 0.5768
H: 0.4515 0.1746 0.4053
H: 0.4913 0.7267 0.4651
H: 0.4943 0.0229 0.1307
H: 0.5057 0.9771 0.8693
H: 0.5087 0.2733 0.5349
H: 0.5485 0.8254 0.5947
H: 0.5684 0.3370 0.4232
H: 0.5705 0.0727 0.3451
H: 0.5994 0.8740 0.9473
H: 0.6308 0.1160 0.6600
H: 0.6455 0.3634 0.1413
H: 0.6634 0.1863 0.8705
H: 0.6782 0.4417 0.8437
H: 0.6801 0.4687 0.5734
H: 0.6934 0.2347 0.1178
H: 0.6944 0.9898 0.6296
H: 0.7483 0.4483 0.4574
H: 0.7528 0.9404 0.2619
H: 0.7585 0.5601 0.6974
H: 0.8157 0.9185 0.3721
H: 0.8226 0.0456 0.0847
H: 0.8244 0.2218 0.3211
H: 0.8254 0.3746 0.9169
H: 0.8850 0.1961 0.8672
H: 0.9115 0.1189 0.5669
H: 0.9382 0.6921 0.9592
H: 0.9442 0.1416 0.0230
H: 0.9673 0.3982 0.1160
H: 0.9880 0.5576 0.6814
H: 0.9933 0.2792 0.3170
H: 0.9958 0.8281 0.5394
O: 0.0055 0.1695 0.5325
O: 0.0341 0.7971 0.6768
O: 0.0464 0.2446 0.9279
O: 0.0904 0.3428 0.0939
O: 0.1184 0.3387 0.6783
O: 0.1203 0.8901 0.9101
O: 0.1416 0.3908 0.3240
O: 0.1999 0.8302 0.1686
O: 0.2050 0.5495 0.4792
O: 0.2148 0.0233 0.6856
O: 0.2544 0.9490 0.3527
O: 0.2741 0.5152 0.8447
O: 0.2819 0.5686 0.6543
O: 0.2963 0.0826 0.8468
O: 0.2982 0.5671 0.0866
O: 0.3780 0.0873 0.1230
O: 0.4009 0.5345 0.2779
O: 0.4161 0.2175 0.9328
O: 0.4156 0.6984 0.8677
O: 0.4373 0.1246 0.3593
O: 0.4838 0.2855 0.4645
O: 0.4977 0.2541 0.6627
O: 0.5023 0.7459 0.3373
O: 0.5162 0.7145 0.5355
O: 0.5627 0.8754 0.6407
O: 0.5844 0.3016 0.1323
O: 0.5839 0.7825 0.0672
O: 0.5991 0.4655 0.7221
O: 0.6220 0.9127 0.8770
O: 0.7018 0.4329 0.9134
O: 0.7037 0.9174 0.1532
O: 0.7181 0.4314 0.3457
O: 0.7259 0.4848 0.1553
O: 0.7456 0.0510 0.6473
O: 0.7852 0.9767 0.3144
O: 0.7950 0.4505 0.5208
O: 0.8001 0.1698 0.8314
O: 0.8584 0.6092 0.6760
O: 0.8797 0.1099 0.0899
O: 0.8816 0.6613 0.3217
O: 0.9096 0.6572 0.9061
O: 0.9536 0.7554 0.0721
O: 0.9659 0.2029 0.3232
O: 0.9945 0.8305 0.4675

Calculated values
E_tot, eV/atom: -5.219

***

Record 8
## RbVCu2S4 (GGA-PBE)

Data for crystalline RbVCu2S4 at its relaxed geometry.

abc: 7.4898 9.6657 9.6657
angles: 147.40 90.00 90.00
Atoms (fractional coordinates):
Rb: 0.2500 0.1828 0.8172
Rb: 0.7500 0.8172 0.1828
V: 0.2500 0.1388 0.3509
V: 0.7500 0.3509 0.1388
Cu: 0.0000 0.2604 0.2604
Cu: 0.2500 0.6403 0.8484
Cu: 0.5000 0.2604 0.2604
Cu: 0.7500 0.8484 0.6403
S: 0.0104 0.3732 0.5847
S: 0.2500 0.0048 0.0187
S: 0.2500 0.8086 0.2094
S: 0.4896 0.3732 0.5847
S: 0.5104 0.5847 0.3732
S: 0.7500 0.0187 0.0048
S: 0.7500 0.2094 0.8086
S: 0.9896 0.5847 0.3732

Calculated values
E_tot, eV/atom: -5.184
Maximum piezoelectric response, C/m2: 0.3

***

Record 9
## BaSrSi4 (GGA-PBE)

Data for crystalline BaSrSi4 at its relaxed geometry.

abc: 8.9566 6.6373 11.3530
angles: 90.00 90.00 90.00
Atoms (fractional coordinates):
Ba: 0.0175 0.2500 0.1909
Ba: 0.4825 0.7500 0.6909
Ba: 0.5175 0.2500 0.3091
Ba: 0.9825 0.7500 0.8091
Sr: 0.1510 0.7500 0.4068
Sr: 0.3490 0.2500 0.9068
Sr: 0.6510 0.7500 0.0932
Sr: 0.8490 0.2500 0.5932
Si: 0.0834 0.7500 0.0946
Si: 0.1906 0.0686 0.6466
Si: 0.1906 0.4314 0.6466
Si: 0.1993 0.2500 0.4634
Si: 0.3007 0.7500 0.9634
Si: 0.3094 0.5686 0.1466
Si: 0.3094 0.9314 0.1466
Si: 0.4166 0.2500 0.5946
Si: 0.5834 0.7500 0.4054
Si: 0.6906 0.0686 0.8534
Si: 0.6906 0.4314 0.8534
Si: 0.6993 0.2500 0.0366
Si: 0.8007 0.7500 0.5366
Si: 0.8094 0.5686 0.3534
Si: 0.8094 0.9314 0.3534
Si: 0.9166 0.2500 0.9054

Calculated values
E_tot, eV/atom: -4.530

***

Record 10
## HfMnN2 (GGA-PBE)

Data for crystalline HfMnN2 at its relaxed geometry.

abc: 6.3015 4.3624 7.3795
angles: 90.00 90.00 90.00
Atoms (fractional coordinates):
Hf: 0.0983 0.2500 0.1281
Hf: 0.4017 0.7500 0.6281
Hf: 0.5983 0.2500 0.3719
Hf: 0.9017 0.7500 0.8719
Mn: 0.0690 0.2500 0.6285
Mn: 0.4310 0.7500 0.1285
Mn: 0.5690 0.2500 0.8715
Mn: 0.9310 0.7500 0.3715
N: 0.0676 0.7500 0.6285
N: 0.0852 0.7500 0.1157
N: 0.4148 0.2500 0.6157
N: 0.4324 0.2500 0.1285
N: 0.5676 0.7500 0.8715
N: 0.5852 0.7500 0.3843
N: 0.9148 0.2500 0.8843
N: 0.9324 0.2500 0.3715

Calculated values
E_tot, eV/atom: -9.936

***

Record 11
## Ba2NdBiO6 (GGA-PBE)

Data for crystalline Ba2NdBiO6 at its relaxed geometry.

abc: 8.8655 8.8655 8.8655
angles: 90.00 90.00 90.00
Atoms (fractional coordinates):
Ba: 0.2500 0.2500 0.2500
Ba: 0.2500 0.2500 0.7500
Ba: 0.2500 0.7500 0.2500
Ba: 0.2500 0.7500 0.7500
Ba: 0.7500 0.2500 0.2500
Ba: 0.7500 0.2500 0.7500
Ba: 0.7500 0.7500 0.2500
Ba: 0.7500 0.7500 0.7500
Nd: 0.0000 0.0000 0.0000
Nd: 0.0000 0.5000 0.5000
Nd: 0.5000 0.0000 0.5000
Nd: 0.5000 0.5000 0.0000
Bi: 0.0000 0.0000 0.5000
Bi: 0.0000 0.5000 0.0000
Bi: 0.5000 0.0000 0.0000
Bi: 0.5000 0.5000 0.5000
O: 0.0238 0.5269 0.7607
O: 0.0238 0.9731 0.7393
O: 0.0269 0.2393 0.5238
O: 0.0269 0.2607 0.9762
O: 0.2393 0.5238 0.0269
O: 0.2393 0.9762 0.4731
O: 0.2607 0.5238 0.4731
O: 0.2607 0.9762 0.0269
O: 0.4731 0.2393 0.9762
O: 0.4731 0.2607 0.5238
O: 0.4762 0.5269 0.7393
O: 0.4762 0.9731 0.7607
O: 0.5238 0.0269 0.2393
O: 0.5238 0.4731 0.2607
O: 0.5269 0.7393 0.4762
O: 0.5269 0.7607 0.0238
O: 0.7393 0.0238 0.9731
O: 0.7393 0.4762 0.5269
O: 0.7607 0.0238 0.5269
O: 0.7607 0.4762 0.9731
O: 0.9731 0.7393 0.0238
O: 0.9731 0.7607 0.4762
O: 0.9762 0.0269 0.2607
O: 0.9762 0.4731 0.2393

Calculated values
E_tot, eV/atom: -6.559

***

Record 12
## Cu2AsO6 (GGA-PBE)

Data for crystalline Cu2AsO6 at its relaxed geometry.

abc: 2.9733 8.3727 4.7599
angles: 90.00 90.00 90.00
Atoms (fractional coordinates):
Cu: 0.0000 0.1851 0.0000
Cu: 0.0000 0.8149 0.0000
As: 0.5000 0.5000 0.3930
O: 0.0000 0.0000 0.2160
O: 0.0000 0.5000 0.6179
O: 0.5000 0.1412 0.7675
O: 0.5000 0.3304 0.1989
O: 0.5000 0.6696 0.1989
O: 0.5000 0.8588 0.7675

Calculated values
E_tot, eV/atom: -4.992